Record 1
VASP calculation (meta-GGA r2SCAN) on crystalline ReO3F at its relaxed geometry.

```
ReO3F
1.0
-0.019 -6.012 -0.940
6.127 0.440 -2.939
4.613 -1.466 9.290
Re F O
6 6 18
direct
0.952 0.000 0.750
0.284 0.666 0.862
0.716 0.334 0.138
0.716 0.666 0.362
0.048 0.000 0.250
0.284 0.334 0.638
0.765 0.834 0.189
0.949 0.500 0.250
0.235 0.834 0.689
0.765 0.166 0.311
0.051 0.500 0.750
0.235 0.166 0.811
0.757 0.484 0.010
0.243 0.516 0.990
0.962 0.167 0.113
0.496 0.811 0.906
0.445 0.500 0.750
0.038 0.167 0.613
0.219 0.853 0.166
0.962 0.833 0.387
0.504 0.189 0.094
0.243 0.484 0.510
0.781 0.853 0.666
0.219 0.147 0.334
0.555 0.500 0.250
0.757 0.516 0.490
0.504 0.811 0.406
0.038 0.833 0.887
0.781 0.147 0.834
0.496 0.189 0.594
```

Computed properties:
DFT formation energy: -1750.9 meV per atom
Total magnetic moment: 0.00 Bohr magnetons per cell


Record 2
VASP calculation (meta-GGA r2SCAN) on crystalline Na2YF6 at its relaxed geometry.

```
Na2YF6
1.0
-5.835 -0.970 0.575
2.837 -1.763 -4.917
0.666 -3.117 1.502
Y F Na
1 6 2
direct
0.000 0.000 0.000
0.380 0.380 0.000
0.620 0.000 0.000
0.000 0.620 0.000
0.252 0.000 0.500
0.000 0.251 0.500
0.748 0.748 0.500
0.334 0.667 0.500
0.667 0.333 0.500
```

Computed properties:
DFT formation energy: -3258.6 meV per atom
Total magnetic moment: 1.00 Bohr magnetons per cell


Record 3
VASP calculation (meta-GGA r2SCAN) on crystalline PrCd20Pd2 at its relaxed geometry.

```
PrCd20Pd2
1.0
-7.156 6.977 4.913
-6.678 6.403 -6.198
-10.936 -2.073 -0.363
Cd Pd Pr
40 4 2
direct
0.302 0.828 0.569
0.422 0.681 0.948
0.948 0.948 0.681
0.302 0.828 0.302
0.113 0.387 0.113
0.828 0.569 0.302
0.948 0.681 0.422
0.422 0.948 0.681
0.387 0.113 0.113
0.948 0.948 0.422
0.125 0.625 0.625
0.113 0.113 0.387
0.681 0.948 0.422
0.569 0.302 0.828
0.137 0.863 0.137
0.948 0.422 0.948
0.681 0.422 0.948
0.828 0.302 0.569
0.625 0.625 0.125
0.625 0.625 0.625
0.137 0.137 0.863
0.863 0.137 0.863
0.569 0.828 0.302
0.948 0.681 0.948
0.137 0.863 0.863
0.681 0.948 0.948
0.625 0.125 0.625
0.863 0.137 0.137
0.302 0.302 0.569
0.863 0.863 0.137
0.569 0.302 0.302
0.828 0.302 0.302
0.302 0.569 0.828
0.113 0.387 0.387
0.302 0.569 0.302
0.948 0.422 0.681
0.422 0.948 0.948
0.387 0.387 0.113
0.387 0.113 0.387
0.302 0.302 0.828
0.125 0.125 0.125
0.125 0.125 0.625
0.625 0.125 0.125
0.125 0.625 0.125
0.500 0.500 0.500
0.750 0.750 0.750
```

Computed properties:
DFT formation energy: -202.9 meV per atom
Total magnetic moment: 0.00 Bohr magnetons per cell


Record 4
VASP calculation (meta-GGA r2SCAN) on crystalline Cs2CuBr4 at its relaxed geometry.

```
Cs2CuBr4
1.0
0.000 -7.987 0.000
-10.282 0.000 0.000
0.000 0.000 -12.952
Cu Br Cs
4 16 8
direct
0.250 0.231 0.419
0.250 0.731 0.081
0.750 0.769 0.581
0.750 0.269 0.919
0.983 0.795 0.143
0.750 0.497 0.879
0.517 0.295 0.357
0.983 0.295 0.357
0.750 0.655 0.420
0.017 0.205 0.857
0.750 0.155 0.080
0.517 0.795 0.143
0.250 0.345 0.580
0.250 0.503 0.121
0.250 0.003 0.379
0.483 0.205 0.857
0.250 0.845 0.920
0.017 0.705 0.643
0.750 0.997 0.621
0.483 0.705 0.643
0.250 0.507 0.834
0.250 0.007 0.666
0.250 0.126 0.105
0.750 0.874 0.895
0.750 0.493 0.166
0.750 0.993 0.334
0.250 0.626 0.395
0.750 0.374 0.605
```

Computed properties:
DFT formation energy: -1377.8 meV per atom
Total magnetic moment: 3.99 Bohr magnetons per cell


Record 5
VASP calculation (meta-GGA r2SCAN) on crystalline K3CrF6 at its relaxed geometry.

```
K3CrF6
1.0
0.000 4.356 4.356
4.356 0.000 4.356
4.356 4.356 0.000
F K Cr
6 3 1
direct
0.219 0.219 0.781
0.219 0.781 0.219
0.781 0.781 0.219
0.781 0.219 0.781
0.781 0.219 0.219
0.219 0.781 0.781
0.500 0.500 0.500
0.750 0.750 0.750
0.250 0.250 0.250
0.000 0.000 0.000
```

Computed properties:
DFT formation energy: -3085.5 meV per atom
Total magnetic moment: 3.00 Bohr magnetons per cell


Record 6
VASP calculation (meta-GGA r2SCAN) on crystalline GdPS at its relaxed geometry.

```
GdPS
1.0
5.393 0.000 0.000
0.000 5.442 0.000
0.000 0.000 16.823
Gd S P
8 8 8
direct
0.250 0.486 0.148
0.250 0.016 0.862
0.750 0.014 0.648
0.250 0.986 0.352
0.250 0.516 0.638
0.750 0.484 0.362
0.750 0.514 0.852
0.750 0.984 0.138
0.250 0.514 0.811
0.750 0.486 0.189
0.750 0.011 0.817
0.250 0.489 0.317
0.750 0.511 0.683
0.250 0.989 0.183
0.250 0.014 0.689
0.750 0.986 0.311
0.958 0.300 0.997
0.042 0.200 0.497
0.542 0.300 0.997
0.458 0.200 0.497
0.042 0.700 0.003
0.458 0.700 0.003
0.958 0.800 0.503
0.542 0.800 0.503
```

Computed properties:
DFT formation energy: -1761.2 meV per atom
Total magnetic moment: 0.00 Bohr magnetons per cell


Record 7
VASP calculation (meta-GGA r2SCAN) on crystalline Pr3Re2O10 at its relaxed geometry.

```
Pr3Re2O10
1.0
-1.005 -3.834 3.844
1.622 -3.968 -3.480
6.285 -2.430 2.299
Re O Pr
2 10 3
direct
0.635 0.635 0.324
0.365 0.365 0.676
0.907 0.907 0.218
0.672 0.672 0.027
0.874 0.396 0.285
0.093 0.093 0.782
0.396 0.874 0.285
0.604 0.126 0.715
0.351 0.351 0.404
0.328 0.328 0.973
0.649 0.649 0.596
0.126 0.604 0.715
0.000 0.000 0.500
0.257 0.743 0.000
0.743 0.257 0.000
```

Computed properties:
DFT formation energy: -2754.8 meV per atom
Total magnetic moment: 1.00 Bohr magnetons per cell


Record 8
VASP calculation (meta-GGA r2SCAN) on crystalline PrSi2Pd2 at its relaxed geometry.

```
PrSi2Pd2
1.0
-1.211 3.497 -2.074
-4.059 -0.921 0.817
2.896 1.313 4.861
Pr Pd Si
1 2 2
direct
0.000 0.000 0.000
0.750 0.250 0.500
0.250 0.750 0.500
0.380 0.380 0.760
0.620 0.620 0.240
```

Computed properties:
DFT formation energy: -958.2 meV per atom
Total magnetic moment: 0.00 Bohr magnetons per cell